Below is a geometry-optimized Na2TaNbSi3O12 structure, with properties calculated at the PBE level.

Properties
magnetization	0.00	μB per atom
symmetry	P1, No. 1
VASP energy	-0.5828	Ry per atom
V	13.97	A^3/atom
energy of formation	-3.087	eV per atom

Cell lengths 8.9469, 9.0016, 22.7860 Å; angles 90.30, 90.00, 119.80 degrees
With the nearest neighbours (Å) after each atom.
Positions (direct):
Na 0.0000 0.0000 0.0000  6 O 2.59-2.60
Na 0.0000 0.9998 0.5003  6 O 2.59-2.62
Na 0.0315 0.3333 0.4167  4 O 2.38-2.49
Na 0.3011 0.3333 0.9166  4 O 2.38-2.48
Na 0.3333 0.6664 0.8335  6 O 2.59-2.61
Na 0.3334 0.6667 0.3332  6 O 2.59-2.61
Na 0.3651 0.0006 0.7501  4 O 2.38-2.49
Na 0.6346 0.9993 0.2499  4 O 2.38-2.49
Na 0.6666 0.3333 0.1667  6 O 2.60-2.61
Na 0.6665 0.3332 0.6668  6 O 2.59-2.61
Na 0.6985 0.6673 0.0834  4 O 2.38-2.49
Na 0.9683 0.6672 0.5834  4 O 2.38-2.49
Ta 0.0001 0.9955 0.3546  6 O 1.93-2.04
Ta 0.3336 0.6623 0.6873  6 O 1.93-2.04
Ta 0.3379 0.6709 0.4789  6 O 1.93-2.04
Ta 0.6620 0.3290 0.5210  6 O 1.93-2.04
Ta 0.6663 0.3375 0.3127  6 O 1.93-2.04
Ta 0.6668 0.3288 0.0209  6 O 1.93-2.04
Nb 0.9998 0.0047 0.6454  6 O 1.94-2.06
Nb 0.0050 0.0046 0.1460  6 O 1.93-2.06
Nb 0.3285 0.6618 0.1877  6 O 1.94-2.06
Nb 0.3331 0.6715 0.9790  6 O 1.94-2.06
Nb 0.6717 0.3380 0.8124  6 O 1.93-2.06
Nb 0.9951 0.9952 0.8542  6 O 1.94-2.06
Si 0.0028 0.2901 0.2515  4 O 1.63-1.65
Si 0.0434 0.6660 0.0833  4 O 1.64
Si 0.0466 0.3771 0.5822  4 O 1.63-1.65
Si 0.2873 0.2915 0.7508  4 O 1.63-1.65
Si 0.2893 0.0005 0.2506  4 O 1.63-1.64
Si 0.3303 0.3757 0.0822  4 O 1.63-1.65
Si 0.3377 0.9569 0.5841  4 O 1.63-1.65
Si 0.3780 0.3333 0.4168  4 O 1.64
Si 0.3799 0.0432 0.9159  4 O 1.63-1.65
Si 0.6213 0.6658 0.5831  4 O 1.64
Si 0.6208 0.9581 0.0843  4 O 1.63-1.65
Si 0.6629 0.0429 0.4158  4 O 1.63-1.65
Si 0.6702 0.6236 0.9179  4 O 1.63-1.65
Si 0.7100 0.9992 0.7498  4 O 1.64
Si 0.7134 0.7091 0.2495  4 O 1.63-1.65
Si 0.9534 0.6235 0.4177  4 O 1.63-1.65
Si 0.9554 0.3331 0.9170  4 O 1.64
Si 0.9972 0.7092 0.7488  4 O 1.63-1.65
O 0.0168 0.8325 0.0899  1 Si 1.64
O 0.0257 0.1879 0.5902  1 Si 1.63
O 0.0287 0.1985 0.3095  1 Si 1.64
O 0.0351 0.8373 0.8058  1 Si 1.65
O 0.1369 0.5048 0.6390  1 Si 1.65
O 0.1371 0.6364 0.1404  1 Si 1.64
O 0.1416 0.6344 0.4240  1 Si 1.64
O 0.1487 0.4996 0.9233  1 Si 1.64
O 0.1602 0.9674 0.5900  1 Si 1.64
O 0.1620 0.1869 0.0904  1 Si 1.63
O 0.1635 0.4682 0.5239  1 Si 1.64
O 0.1658 0.9715 0.3072  1 Si 1.63
O 0.1667 0.6956 0.0263  1 Si 1.64
O 0.1705 0.2007 0.8092  1 Si 1.64
O 0.1713 0.4791 0.2432  1 Si 1.63
O 0.1746 0.6988 0.7426  1 Si 1.64
O 0.1843 0.1668 0.4095  1 Si 1.64
O 0.1921 0.0328 0.9101  1 Si 1.64
O 0.1963 0.0299 0.1931  1 Si 1.64
O 0.1966 0.1626 0.6941  1 Si 1.65
O 0.2999 0.8283 0.5274  1 Si 1.65
O 0.3039 0.4663 0.0240  1 Si 1.64
O 0.3077 0.4802 0.7423  1 Si 1.63
O 0.3160 0.8340 0.2435  1 Si 1.64
O 0.3507 0.4997 0.4238  1 Si 1.64
O 0.3591 0.8541 0.9237  1 Si 1.63
O 0.3629 0.8657 0.6425  1 Si 1.64
O 0.3684 0.5041 0.1391  1 Si 1.65
O 0.4710 0.1713 0.9726  1 Si 1.65
O 0.4717 0.3040 0.4737  1 Si 1.64
O 0.4747 0.3014 0.7567  1 Si 1.64
O 0.4828 0.1672 0.2573  1 Si 1.64
O 0.4930 0.6340 0.9235  1 Si 1.64
O 0.4949 0.8538 0.4242  1 Si 1.63
O 0.4962 0.1331 0.8574  1 Si 1.64
O 0.4989 0.6370 0.6403  1 Si 1.64
O 0.5008 0.3624 0.3597  1 Si 1.64
O 0.5038 0.8673 0.1426  1 Si 1.64
O 0.5058 0.1460 0.5757  1 Si 1.63
O 0.5078 0.3654 0.0760  1 Si 1.64
O 0.5170 0.8324 0.7428  1 Si 1.64
O 0.5256 0.6989 0.2434  1 Si 1.64
O 0.5275 0.6949 0.5262  1 Si 1.64
O 0.5302 0.8295 0.0276  1 Si 1.65
O 0.6325 0.4958 0.8610  1 Si 1.65
O 0.6374 0.1342 0.3574  1 Si 1.64
O 0.6411 0.1468 0.0758  1 Si 1.63
O 0.6484 0.4992 0.5761  1 Si 1.64
O 0.6835 0.1657 0.7565  1 Si 1.64
O 0.6924 0.5199 0.2578  1 Si 1.63
O 0.6957 0.5320 0.9761  1 Si 1.64
O 0.7010 0.1715 0.4724  1 Si 1.65
O 0.8037 0.9697 0.8070  1 Si 1.64
O 0.8045 0.8380 0.3060  1 Si 1.65
O 0.8082 0.9681 0.0902  1 Si 1.64
O 0.8150 0.8322 0.5898  1 Si 1.64
O 0.8256 0.3010 0.2576  1 Si 1.64
O 0.8288 0.5204 0.7570  1 Si 1.63
O 0.8295 0.7992 0.1908  1 Si 1.64
O 0.8323 0.3044 0.9738  1 Si 1.64
O 0.8336 0.0289 0.6929  1 Si 1.64
O 0.8364 0.5323 0.4759  1 Si 1.64
O 0.8387 0.8124 0.9098  1 Si 1.63
O 0.8404 0.0321 0.4093  1 Si 1.64
O 0.8503 0.4992 0.0762  1 Si 1.64
O 0.8584 0.3660 0.5759  1 Si 1.64
O 0.8622 0.3625 0.8597  1 Si 1.64
O 0.8629 0.4951 0.3609  1 Si 1.65
O 0.9650 0.1625 0.1944  1 Si 1.65
O 0.9707 0.7998 0.6906  1 Si 1.64
O 0.9743 0.8127 0.4091  1 Si 1.63
O 0.9819 0.1665 0.9102  1 Si 1.64